Entry 1:
The following is a r²SCAN calculation of GePt2 after structural relaxation, from the Materials Project.

Cell: 6.7440 6.7440 3.5410 Å, 90.00 90.00 120.00°
Last column: nearest neighbours and their distance in Å.
Fractional positions:
Ge1 0.0000 0.0000 0.0000  9 Pt 2.55-2.60
Ge2 0.3333 0.6667 0.5000  3 Pt 2.44
Ge3 0.6667 0.3333 0.5000  3 Pt 2.44
Pt1 0.0000 0.2831 0.5000  4 Ge 2.44-2.60
Pt2 0.0000 0.6218 0.0000  5 Ge 2.55-2.76
Pt3 0.2831 0.0000 0.5000  4 Ge 2.44-2.60
Pt4 0.3782 0.3782 0.0000  5 Ge 2.55-2.76
Pt5 0.6218 0.0000 0.0000  5 Ge 2.55-2.76
Pt6 0.7169 0.7169 0.5000  4 Ge 2.44-2.60

- Calculated total energy: -39.32 eV/atom
- Calculated volume: 15.5 A^3/atom
- ΔH_f (0 K): -36 kJ per mole of atoms

=====

Entry 2:
The following is a r²SCAN calculation of RbGe4Pt4 after structural relaxation, from the Materials Project.

Cell: 6.6043 6.6043 6.6043 Å, 97.50 97.50 137.63°
Last column: nearest neighbours and their distance in Å.
Fractional positions:
Rb1 0.0000 0.0000 0.0000  8 Pt 3.39-3.50, 8 Ge 3.62-3.75
Ge1 0.1809 0.6788 0.2631  5 Pt 2.48-2.61
Ge2 0.4157 0.9178 0.7369  5 Pt 2.48-2.61
Ge3 0.6788 0.4157 0.4979  5 Pt 2.48-2.61
Ge4 0.9178 0.1809 0.5021  5 Pt 2.48-2.61
Pt1 0.1273 0.9735 0.5042  5 Ge 2.48-2.61
Pt2 0.4693 0.6230 0.4958  5 Ge 2.48-2.61
Pt3 0.6230 0.1273 0.1538  5 Ge 2.48-2.61
Pt4 0.9735 0.4693 0.8462  5 Ge 2.48-2.61

- Calculated total energy: -31.10 eV/atom
- Calculated volume: 20.1 A^3/atom
- ΔH_f (0 K): -49 kJ per mole of atoms

=====

Entry 3:
The following is a r²SCAN calculation of ScGePt after structural relaxation, from the Materials Project.

Cell: 6.6398 4.2297 7.4342 Å, 90.00 90.00 90.00°
Last column: nearest neighbours and their distance in Å.
Fractional positions:
Sc1 0.0011 0.2500 0.2045  6 Pt 2.89-3.13, 6 Ge 2.91-3.16
Sc2 0.4989 0.7500 0.7045  6 Pt 2.89-3.13, 6 Ge 2.91-3.16
Sc3 0.5011 0.2500 0.2955  6 Pt 2.89-3.13, 6 Ge 2.91-3.16
Sc4 0.9989 0.7500 0.7955  6 Pt 2.89-3.13, 6 Ge 2.91-3.16
Ge1 0.1960 0.2500 0.5925  4 Pt 2.48-2.66
Ge2 0.3040 0.7500 0.0925  4 Pt 2.48-2.66
Ge3 0.6960 0.2500 0.9075  4 Pt 2.48-2.66
Ge4 0.8040 0.7500 0.4075  4 Pt 2.48-2.66
Pt1 0.2048 0.7500 0.4173  4 Ge 2.48-2.66
Pt2 0.2952 0.2500 0.9173  4 Ge 2.48-2.66
Pt3 0.7048 0.7500 0.0827  4 Ge 2.48-2.66
Pt4 0.7952 0.2500 0.5827  4 Ge 2.48-2.66

- Calculated total energy: -26.74 eV/atom
- Calculated volume: 17.4 A^3/atom
- ΔH_f (0 K): -112 kJ per mole of atoms

=====

Entry 4:
The following is a r²SCAN calculation of SmGePt after structural relaxation, from the Materials Project.

Cell: 7.1985 4.4085 7.6291 Å, 90.00 90.00 90.00°
Last column: nearest neighbours and their distance in Å.
Fractional positions:
Sm1 0.0039 0.2500 0.2043  6 Pt 3.05-3.26, 6 Ge 3.05-3.25
Sm2 0.4961 0.7500 0.7043  6 Pt 3.05-3.26, 6 Ge 3.05-3.25
Sm3 0.5039 0.2500 0.2957  6 Pt 3.05-3.26, 6 Ge 3.05-3.25
Sm4 0.9961 0.7500 0.7957  6 Pt 3.05-3.26, 6 Ge 3.05-3.25
Ge1 0.1882 0.2500 0.5871  4 Pt 2.56-2.82
Ge2 0.3118 0.7500 0.0871  4 Pt 2.56-2.82
Ge3 0.6882 0.2500 0.9129  4 Pt 2.56-2.82
Ge4 0.8118 0.7500 0.4129  4 Pt 2.56-2.82
Pt1 0.2035 0.7500 0.4159  4 Ge 2.56-2.82
Pt2 0.2965 0.2500 0.9159  4 Ge 2.56-2.82
Pt3 0.7035 0.7500 0.0841  4 Ge 2.56-2.82
Pt4 0.7965 0.2500 0.5841  4 Ge 2.56-2.82

- Calculated total energy: -32.90 eV/atom
- Calculated volume: 20.2 A^3/atom
- ΔH_f (0 K): -116 kJ per mole of atoms

=====

Entry 5:
The following is a r²SCAN calculation of SmGePt after structural relaxation, from the Materials Project.

Cell: 4.4201 14.4075 7.6048 Å, 90.00 90.00 90.00°
Last column: nearest neighbours and their distance in Å.
Fractional positions:
Sm1 0.2500 0.0024 0.2099  6 Pt 2.96-3.19, 6 Ge 3.06-3.25
Sm2 0.2500 0.2500 0.2961  6 Ge 3.04-3.11, 6 Pt 3.24-3.26
Sm3 0.2500 0.4976 0.2099  6 Pt 2.96-3.19, 6 Ge 3.06-3.25
Sm4 0.2500 0.7500 0.2921  6 Pt 3.11-3.16, 6 Ge 3.20-3.21
Sm5 0.7500 0.2500 0.7079  6 Pt 3.11-3.16, 6 Ge 3.20-3.21
Sm6 0.7500 0.5024 0.7901  6 Pt 2.96-3.19, 6 Ge 3.06-3.25
Sm7 0.7500 0.7500 0.7039  6 Ge 3.04-3.11, 6 Pt 3.24-3.26
Sm8 0.7500 0.9976 0.7901  6 Pt 2.96-3.19, 6 Ge 3.06-3.25
Ge1 0.2500 0.1005 0.5903  4 Pt 2.57-2.87
Ge2 0.2500 0.3995 0.5903  4 Pt 2.57-2.87
Ge3 0.2500 0.6553 0.9110  3 Pt 2.56-2.63, 1 Ge 2.73
Ge4 0.2500 0.8447 0.9110  3 Pt 2.56-2.63, 1 Ge 2.73
Ge5 0.7500 0.1553 0.0890  3 Pt 2.56-2.63, 1 Ge 2.73
Ge6 0.7500 0.3447 0.0890  3 Pt 2.56-2.63, 1 Ge 2.73
Ge7 0.7500 0.6005 0.4097  4 Pt 2.57-2.87
Ge8 0.7500 0.8995 0.4097  4 Pt 2.57-2.87
Pt1 0.2500 0.1407 0.9213  3 Ge 2.56-2.58
Pt2 0.2500 0.3593 0.9213  3 Ge 2.56-2.58
Pt3 0.2500 0.5985 0.5830  4 Ge 2.57-2.87
Pt4 0.2500 0.9015 0.5830  4 Ge 2.57-2.87
Pt5 0.7500 0.0985 0.4170  4 Ge 2.57-2.87
Pt6 0.7500 0.4015 0.4170  4 Ge 2.57-2.87
Pt7 0.7500 0.6407 0.0787  3 Ge 2.56-2.58
Pt8 0.7500 0.8593 0.0787  3 Ge 2.56-2.58

- Calculated total energy: -32.92 eV/atom
- Calculated volume: 20.2 A^3/atom
- ΔH_f (0 K): -118 kJ per mole of atoms

=====

Entry 6:
The following is a r²SCAN calculation of Tb2Ge3Pt9 after structural relaxation, from the Materials Project.

Cell: 7.7621 7.7621 10.0787 Å, 112.93 112.93 60.25°
Last column: nearest neighbours and their distance in Å.
Fractional positions:
Tb1 0.0837 0.2545 0.2512  11 Pt 2.94-3.17
Tb2 0.2545 0.0837 0.7512  11 Pt 2.94-3.17
Tb3 0.7455 0.9163 0.2488  11 Pt 2.94-3.17
Tb4 0.9163 0.7455 0.7488  11 Pt 2.94-3.17
Ge1 0.0000 0.5000 0.0000  8 Pt 2.49-2.67
Ge2 0.1381 0.6823 0.5027  6 Pt 2.46-2.71
Ge3 0.3177 0.8619 0.9973  6 Pt 2.46-2.71
Ge4 0.5000 0.0000 0.5000  8 Pt 2.49-2.67
Ge5 0.6823 0.1381 0.0027  6 Pt 2.46-2.71
Ge6 0.8619 0.3177 0.4973  6 Pt 2.46-2.71
Pt1 0.0237 0.8567 0.0759  3 Ge 2.51-2.71, 2 Pt 2.73-2.80
Pt2 0.1433 0.9763 0.4241  3 Ge 2.51-2.71, 2 Pt 2.73-2.80
Pt3 0.1966 0.3587 0.5786  3 Ge 2.55-2.68, 2 Pt 2.73-2.78
Pt4 0.2023 0.5866 0.2583  2 Ge 2.46-2.49, 1 Pt 2.73
Pt5 0.2986 0.4767 0.9226  3 Ge 2.63-2.91, 4 Pt 2.77-2.92
Pt6 0.3587 0.1966 0.0786  3 Ge 2.55-2.68, 2 Pt 2.73-2.78
Pt7 0.3657 0.6343 0.7500  2 Ge 2.47, 2 Pt 2.73
Pt8 0.4134 0.7977 0.2417  2 Ge 2.46-2.49, 1 Pt 2.73
Pt9 0.4767 0.2986 0.4226  3 Ge 2.63-2.91, 4 Pt 2.77-2.92
Pt10 0.5233 0.7014 0.5774  3 Ge 2.63-2.91, 4 Pt 2.77-2.92
Pt11 0.5866 0.2023 0.7583  2 Ge 2.46-2.49, 1 Pt 2.73
Pt12 0.6343 0.3657 0.2500  2 Ge 2.47, 2 Pt 2.73
Pt13 0.6413 0.8034 0.9214  3 Ge 2.55-2.68, 2 Pt 2.73-2.78
Pt14 0.7014 0.5233 0.0774  3 Ge 2.63-2.91, 4 Pt 2.77-2.92
Pt15 0.7977 0.4134 0.7417  2 Ge 2.46-2.49, 1 Pt 2.73
Pt16 0.8034 0.6413 0.4214  3 Ge 2.55-2.68, 2 Pt 2.73-2.78
Pt17 0.8567 0.0237 0.5759  3 Ge 2.51-2.71, 2 Pt 2.73-2.80
Pt18 0.9763 0.1433 0.9241  3 Ge 2.51-2.71, 2 Pt 2.73-2.80

- Calculated total energy: -41.38 eV/atom
- Calculated volume: 16.8 A^3/atom
- ΔH_f (0 K): -82 kJ per mole of atoms

=====

Entry 7:
The following is a r²SCAN calculation of TbGePt after structural relaxation, from the Materials Project.

Cell: 7.0495 4.3694 7.5753 Å, 90.00 90.00 90.00°
Last column: nearest neighbours and their distance in Å.
Fractional positions:
Tb1 0.0033 0.2500 0.2052  6 Pt 3.00-3.22, 6 Ge 3.01-3.20
Tb2 0.4967 0.7500 0.7052  6 Pt 3.00-3.22, 6 Ge 3.01-3.20
Tb3 0.5033 0.2500 0.2948  6 Pt 3.00-3.22, 6 Ge 3.01-3.20
Tb4 0.9967 0.7500 0.7948  6 Pt 3.00-3.22, 6 Ge 3.01-3.20
Ge1 0.1900 0.2500 0.5878  4 Pt 2.54-2.79
Ge2 0.3100 0.7500 0.0878  4 Pt 2.54-2.79
Ge3 0.6900 0.2500 0.9122  4 Pt 2.54-2.79
Ge4 0.8100 0.7500 0.4122  4 Pt 2.54-2.79
Pt1 0.2053 0.7500 0.4167  4 Ge 2.54-2.79
Pt2 0.2947 0.2500 0.9167  4 Ge 2.54-2.79
Pt3 0.7053 0.7500 0.0833  4 Ge 2.54-2.79
Pt4 0.7947 0.2500 0.5833  4 Ge 2.54-2.79

- Calculated total energy: -33.44 eV/atom
- Calculated volume: 19.4 A^3/atom
- ΔH_f (0 K): -121 kJ per mole of atoms

=====

Entry 8:
The following is a r²SCAN calculation of TbGe2Pt2 after structural relaxation, from the Materials Project.

Cell: 4.2664 4.2664 10.1263 Å, 90.00 90.00 90.00°
Last column: nearest neighbours and their distance in Å.
Fractional positions:
Tb1 0.2500 0.2500 0.2502  8 Ge 3.24-3.31, 8 Pt 3.26-3.31
Tb2 0.7500 0.7500 0.7498  8 Ge 3.24-3.31, 8 Pt 3.26-3.31
Ge1 0.2500 0.2500 0.6329  5 Pt 2.42-2.52
Ge2 0.2500 0.7500 0.0000  4 Pt 2.50
Ge3 0.7500 0.2500 0.0000  4 Pt 2.50
Ge4 0.7500 0.7500 0.3671  5 Pt 2.42-2.52
Pt1 0.2500 0.2500 0.8717  5 Ge 2.42-2.50
Pt2 0.2500 0.7500 0.5000  4 Ge 2.52
Pt3 0.7500 0.2500 0.5000  4 Ge 2.52
Pt4 0.7500 0.7500 0.1283  5 Ge 2.42-2.50

- Calculated total energy: -33.35 eV/atom
- Calculated volume: 18.4 A^3/atom
- ΔH_f (0 K): -93 kJ per mole of atoms